(1)
Below is an optimized crystal structure of NaCa2V3Cu2O12, with properties calculated at the GGA+U level.

extended XYZ file:
```
80
Lattice="-6.2665 6.2665 6.2504 6.2665 -6.2665 6.2504 6.2665 6.2665 -6.2504" Properties=species:S:1:pos:R:3 pbc="T T T"
Na 6.2665 3.1332 -1.5626
Na 0.0000 3.1332 1.5626
Na 6.2665 3.1332 4.6878
Na 0.0000 3.1332 7.8130
Ca 3.1332 1.5856 0.0000
Ca 1.5476 0.0000 3.1252
Ca 7.8141 0.0000 3.1252
Ca 3.1332 -1.5856 6.2504
Ca 3.1332 7.8521 0.0000
Ca -1.5476 6.2665 3.1252
Ca 4.7189 6.2665 3.1252
Ca 3.1332 4.6808 6.2504
V 9.3997 1.5660 0.0000
V 6.2665 -3.1332 4.6878
V 4.6992 6.2665 -3.1252
V 4.6992 0.0000 3.1252
V 3.1332 4.7005 0.0000
V 6.2665 3.1332 1.5626
V 0.0000 3.1332 4.6878
V 3.1332 1.5660 6.2504
V 1.5673 6.2665 3.1252
V 1.5673 0.0000 9.3756
V 0.0000 9.3997 1.5626
V -3.1332 4.7005 6.2504
Cu 0.0000 0.0000 0.0000
Cu 3.1332 3.1332 -3.1252
Cu 3.1332 -3.1332 3.1252
Cu 6.2665 0.0000 0.0000
Cu -3.1332 3.1332 3.1252
Cu 0.0000 6.2665 0.0000
Cu 0.0000 0.0000 6.2504
Cu 3.1332 3.1332 3.1252
O 7.4916 3.8031 -3.6208
O 1.9401 -0.4402 0.6608
O 8.2066 0.4402 0.6608
O 7.4916 -2.4634 3.6208
O 9.8399 -1.1931 2.4644
O 5.7993 -0.6258 1.9334
O 0.6698 1.9081 -0.4956
O 8.7739 2.6660 -1.1918
O 3.7590 3.6004 -1.1918
O 5.5966 1.9081 0.4956
O -0.4672 0.6258 1.9334
O 3.5735 -1.1931 3.7860
O 3.5735 1.1931 2.4644
O 5.7993 5.6407 -1.9334
O 3.7590 -3.6004 7.4423
O 5.5966 -1.9081 5.7548
O 2.5074 3.6004 1.1918
O 6.9363 4.3583 0.4956
O 5.7993 0.6258 4.3170
O 3.5735 7.4596 -2.4644
O 7.4916 2.4634 2.6296
O 1.9401 5.8262 -0.6608
O 1.9401 0.4402 5.5896
O 1.2251 2.4634 3.6208
O 5.0414 3.8031 2.6296
O 4.3263 5.8262 0.6608
O 4.3263 0.4402 6.9113
O -1.2251 3.8031 3.6208
O 2.6930 -1.1931 8.7148
O 0.4672 5.6407 1.9334
O -0.6698 1.9081 5.7548
O 3.7590 2.6660 5.0586
O 0.6698 8.1746 0.4956
O 2.5074 9.8669 -1.1918
O 0.4672 0.6258 8.1838
O 2.6930 5.0734 3.7860
O 2.6930 7.4596 2.4644
O 6.7337 5.6407 4.3170
O 0.6698 4.3583 5.7548
O 2.5074 2.6660 7.4423
O -2.5074 3.6004 7.4423
O 5.5966 4.3583 6.7460
O 0.4672 6.8922 4.3170
O -3.5735 7.4596 3.7860
O -1.2251 8.7299 2.6296
O -1.9401 5.8262 5.5896
O 4.3263 6.7067 5.5896
O -1.2251 2.4634 9.8712
```

Values from the calculation:
Formation enthalpy at 0 K: -46.673 eV/f.u.

(2)
Below is an optimized crystal structure of Ca3Cu2NiP4O16, with properties calculated at the GGA+U level.

extended XYZ file:
```
52
Lattice="9.0168 0.0000 0.0000 0.0000 4.9432 0.0000 -1.1487 0.0000 14.8329" Properties=species:S:1:pos:R:3 pbc="T T T"
Ca 1.8927 0.0000 0.2261
Ca 1.3886 4.7688 11.1118
Ca 2.0375 4.5945 7.1854
Ca 5.8307 2.1229 7.6475
Ca 6.4795 2.2972 3.7211
Ca 5.9754 2.4716 14.6068
Cu 0.2663 2.1472 5.5084
Cu 1.9734 4.7669 3.7171
Cu 5.8947 2.2954 11.1159
Cu 7.6019 4.6188 9.3245
Ni 3.7241 2.4349 1.9024
Ni 4.1440 4.9065 12.9306
P 0.6710 2.2220 2.3227
P 0.4556 2.2028 8.7694
P 2.3280 2.3817 13.4715
P 3.2687 2.3540 5.1046
P 4.5994 4.8255 9.7284
P 5.5401 4.8533 1.3615
P 7.4125 4.6744 6.0635
P 7.1971 4.6936 12.5102
O -0.0607 1.8240 1.0419
O -0.2152 2.0349 3.5757
O -0.1181 0.1840 5.9161
O 0.5404 0.6606 9.0198
O 1.2435 3.6794 2.2100
O 0.9642 2.4540 7.2919
O 1.9541 1.2930 2.4555
O 1.4142 2.9788 9.6604
O 1.3738 1.6194 12.5647
O 1.9696 3.2796 4.9568
O 2.9661 2.1387 0.1047
O 2.7189 0.8918 5.2078
O 2.2928 3.9403 13.2214
O 4.0584 4.3900 1.5022
O 4.1528 2.5506 3.8574
O 3.9851 2.7630 6.3877
O 3.8831 0.2914 8.4452
O 3.7153 0.0790 10.9756
O 3.8097 1.9184 13.3308
O 5.5754 1.4687 1.6116
O 5.1492 3.3634 9.6251
O 4.9020 4.6103 14.7282
O 5.8986 0.8081 9.8761
O 6.4943 4.0910 2.2682
O 6.4540 0.5072 5.1725
O 5.9141 3.7646 12.3774
O 6.9040 4.9256 7.5411
O 6.6247 1.2078 12.6229
O 7.3277 3.1322 5.8132
O 7.9862 2.6556 8.9168
O 8.0834 4.5065 11.2573
O 7.9288 4.2956 13.7910
```

Values from the calculation:
Formation enthalpy at 0 K: -68.692 eV/f.u.

(3)
Below is an optimized crystal structure of CaV2Cu2O8, with properties calculated at the GGA+U level.

extended XYZ file:
```
52
Lattice="6.6129 0.0000 0.0000 0.0000 8.7878 0.0000 -0.6894 0.0000 12.3414" Properties=species:S:1:pos:R:3 pbc="T T T"
Ca 0.5720 1.4693 5.7181
Ca 0.2273 2.9246 11.8888
Ca 5.6963 5.8632 0.4526
Ca 5.3516 7.3186 6.6232
V 0.5022 0.3260 1.9617
V 0.1575 4.0679 8.1324
V 2.5100 5.1934 1.7399
V 2.1654 7.9884 7.9106
V 3.7582 0.7994 4.4308
V 3.4135 3.5945 10.6014
V 5.7660 4.7199 4.2090
V 5.4213 8.4618 10.3796
Cu 0.9865 6.0042 10.5154
Cu 1.3312 7.1775 4.3447
Cu 2.0066 0.4588 10.6936
Cu 2.3513 3.9351 4.5229
Cu 3.5722 4.8527 7.8185
Cu 3.9169 8.3290 1.6478
Cu 4.5923 1.6103 7.9966
Cu 4.9370 2.7836 1.8259
O 0.0426 1.9781 1.5148
O -0.3021 2.4159 7.6854
O 0.0702 0.7839 10.9470
O 0.4149 3.6100 4.7764
O 0.6003 0.1629 3.6925
O 0.2557 4.2310 9.8632
O 1.2569 5.1375 0.5273
O 0.9122 8.0442 6.6980
O 1.7159 4.4186 7.4512
O 2.0606 8.7631 1.2805
O 1.9914 5.5075 3.4425
O 1.6467 7.6742 9.6131
O 2.6370 2.0495 4.8803
O 2.2923 2.3444 11.0510
O 2.6883 5.1580 10.6973
O 3.0330 8.0237 4.5266
O 2.8905 0.7641 7.8147
O 3.2352 3.6298 1.6440
O 3.6313 6.4434 1.2904
O 3.2866 6.7383 7.4610
O 4.2768 1.1136 2.7282
O 3.9321 3.2803 8.8989
O 3.8629 0.0247 11.0609
O 4.2076 4.3692 4.8902
O 5.0113 0.7436 5.6433
O 4.6666 3.6503 11.8140
O 5.6679 4.5568 2.4782
O 5.3232 8.6249 8.6489
O 5.5087 5.1779 7.5650
O 5.8534 8.0039 1.3943
O 6.2256 6.3720 4.6559
O 5.8809 6.8098 10.8266
```

Values from the calculation:
Formation enthalpy at 0 K: -27.489 eV/f.u.

(4)
Below is an optimized crystal structure of CaV4Cu2O14, with properties calculated at the GGA+U level.

extended XYZ file:
```
63
Lattice="10.2272 0.0000 0.0000 0.0000 8.8695 0.0000 -0.3088 0.0000 10.6390" Properties=species:S:1:pos:R:3 pbc="T T T"
Ca 0.0000 0.0000 0.0000
Ca 3.0283 3.4669 7.1026
Ca 6.8900 3.4669 3.5365
V 0.1940 1.2045 7.0435
V 1.1247 6.1505 7.1100
V 1.8665 5.6859 10.3080
V 2.9940 2.1287 0.3183
V 3.6447 1.6739 3.5505
V 4.5847 6.5429 3.6056
V 5.3336 6.5429 7.0334
V 6.2736 1.6739 7.0886
V 6.9243 2.1287 10.3208
V 8.0518 5.6859 0.3310
V 8.7936 6.1505 3.5290
V 9.7243 1.2045 3.5956
Cu 0.0000 3.3263 0.0000
Cu 1.5522 7.7342 3.2191
Cu 3.2688 0.0623 7.4166
Cu 5.1136 4.4606 0.0000
Cu 6.6495 0.0623 3.2224
Cu 8.3661 7.7342 7.4199
O -0.1544 0.7857 5.3195
O 0.0201 2.7140 3.2564
O 0.3120 0.0461 2.4801
O 0.3049 6.4068 3.5134
O 0.9508 1.9785 10.4810
O 1.2561 4.5170 0.6074
O 1.2465 7.2214 10.5555
O 1.5663 5.0477 5.9487
O 1.7179 5.1999 8.5703
O 1.9500 1.3749 7.3736
O 2.0706 7.6140 6.9655
O 2.7371 0.1984 3.7083
O 2.8608 6.4390 3.3072
O 3.1680 2.5615 2.0532
O 3.3366 2.6767 4.8446
O 3.5225 0.6070 0.0484
O 3.8506 5.7811 0.1512
O 3.5999 3.2401 9.8890
O 4.4984 1.4464 7.1800
O 4.5224 7.7623 8.0167
O 4.7133 5.0184 7.3665
O 4.9592 6.9680 5.3195
O 5.2051 5.0184 3.2725
O 5.3959 7.7623 2.6224
O 5.4199 1.4464 3.4590
O 6.3185 3.2401 0.7501
O 6.0678 5.7811 10.4878
O 6.3958 0.6070 10.5906
O 6.5817 2.6767 5.7945
O 6.7503 2.5615 8.5858
O 7.0575 6.4390 7.3318
O 7.1812 0.1984 6.9308
O 7.8477 7.6140 3.6735
O 7.9683 1.3749 3.2654
O 8.2005 5.1999 2.0688
O 8.3521 5.0477 4.6903
O 8.6718 7.2214 0.0836
O 8.6622 4.5170 10.0316
O 8.9675 1.9785 0.1580
O 9.6134 6.4068 7.1256
O 9.6063 0.0461 8.1589
O 9.8982 2.7140 7.3826
```

Values from the calculation:
Formation enthalpy at 0 K: -42.919 eV/f.u.

(5)
Below is an optimized crystal structure of Ca3V3Cu2O12, with properties calculated at the GGA+U level.

extended XYZ file:
```
80
Lattice="-6.2818 6.2818 6.2818 6.2818 -6.2818 6.2818 6.2818 6.2818 -6.2818" Properties=species:S:1:pos:R:3 pbc="T T T"
Ca 3.1409 1.5704 0.0000
Ca 6.2818 3.1409 -1.5704
Ca 1.5704 0.0000 3.1409
Ca 7.8522 0.0000 3.1409
Ca 0.0000 3.1409 1.5704
Ca 3.1409 -1.5704 6.2818
Ca 3.1409 7.8522 0.0000
Ca 6.2818 3.1409 4.7113
Ca -1.5704 6.2818 3.1409
Ca 4.7113 6.2818 3.1409
Ca 0.0000 3.1409 7.8522
Ca 3.1409 4.7113 6.2818
V 9.4227 1.5704 0.0000
V 6.2818 -3.1409 4.7113
V 4.7113 6.2818 -3.1409
V 4.7113 0.0000 3.1409
V 3.1409 4.7113 0.0000
V 6.2818 3.1409 1.5704
V 0.0000 3.1409 4.7113
V 3.1409 1.5704 6.2818
V 1.5704 6.2818 3.1409
V 1.5704 0.0000 9.4227
V 0.0000 9.4227 1.5704
V -3.1409 4.7113 6.2818
Cu 0.0000 0.0000 0.0000
Cu 3.1409 3.1409 -3.1409
Cu 3.1409 -3.1409 3.1409
Cu 6.2818 0.0000 0.0000
Cu -3.1409 3.1409 3.1409
Cu 0.0000 6.2818 0.0000
Cu 0.0000 0.0000 6.2818
Cu 3.1409 3.1409 3.1409
O 1.9714 -0.4547 0.6910
O 7.4513 3.8319 -3.5956
O 8.2531 0.4547 0.6910
O 7.4513 -2.4499 3.5956
O 5.8271 -0.6910 1.9714
O 9.8774 -1.1695 2.4499
O 0.6910 1.9714 -0.4547
O 8.7316 2.6862 -1.1695
O 3.8319 3.5956 -1.1695
O 5.5907 1.9714 0.4547
O -0.4547 0.6910 1.9714
O 3.5956 -1.1695 3.8319
O 5.8271 5.5907 -1.9714
O 3.5956 1.1695 2.4499
O 3.8319 -3.5956 7.4513
O 5.5907 -1.9714 5.8271
O 2.4499 3.5956 1.1695
O 6.9728 4.3104 0.4547
O 3.5956 7.4513 -2.4499
O 5.8271 0.6910 4.3104
O 1.9714 5.8271 -0.6910
O 7.4513 2.4499 2.6862
O 1.1695 2.4499 3.5956
O 1.9714 0.4547 5.5907
O 4.3104 5.8271 0.6910
O 5.1123 3.8319 2.6862
O -1.1695 3.8319 3.5956
O 4.3104 0.4547 6.9728
O 0.4547 5.5907 1.9714
O 2.6862 -1.1695 8.7316
O -0.6910 1.9714 5.8271
O 3.8319 2.6862 5.1123
O 0.6910 8.2531 0.4547
O 2.4499 9.8774 -1.1695
O 2.6862 5.1123 3.8319
O 0.4547 0.6910 8.2531
O 2.6862 7.4513 2.4499
O 6.7365 5.5907 4.3104
O 0.6910 4.3104 5.8271
O 2.4499 2.6862 7.4513
O -2.4499 3.5956 7.4513
O 5.5907 4.3104 6.7365
O -3.5956 7.4513 3.8319
O 0.4547 6.9728 4.3104
O -1.1695 8.7316 2.6862
O -1.9714 5.8271 5.5907
O -1.1695 2.4499 9.8774
O 4.3104 6.7365 5.5907
```

Values from the calculation:
Formation enthalpy at 0 K: -50.262 eV/f.u.

(6)
Below is an optimized crystal structure of CaCuW2O7, with properties calculated at the GGA+U level.

extended XYZ file:
```
66
Lattice="10.5992 0.0000 0.0000 0.0000 9.1516 0.0000 -1.0289 0.0000 11.1033" Properties=species:S:1:pos:R:3 pbc="T T T"
Ca -0.2572 0.5782 2.7758
Ca -0.7717 8.5734 8.3275
Ca 2.7074 4.0207 10.3020
Ca 3.2219 5.1309 4.7504
Ca 6.3484 4.0207 6.3530
Ca 6.8628 5.1309 0.8013
Cu -0.2572 4.0667 2.7758
Cu -0.7717 5.0849 8.3275
Cu 2.3332 0.6087 10.1112
Cu 2.8477 8.5429 4.5595
Cu 6.7226 0.6087 6.5438
Cu 7.2370 8.5429 0.9922
W -0.3510 2.7003 5.9602
W 0.1635 6.4513 0.4085
W 3.2455 1.9025 2.3221
W 2.7310 7.2491 7.8738
W 3.0137 2.1887 6.9533
W 3.5282 6.9629 1.4016
W 6.0421 2.1887 9.7017
W 6.5566 6.9629 4.1500
W 6.8393 1.9025 3.2295
W 6.3248 7.2491 8.7812
W 9.4068 2.7003 10.6948
W 9.9212 6.4513 5.1432
O -0.5426 1.1129 6.7450
O -0.0281 8.0387 1.1933
O 0.1332 2.5138 1.3848
O -0.3813 6.6377 6.9365
O -0.0891 3.9129 9.8899
O 0.4254 5.2387 4.3382
O 1.4226 3.2240 6.2287
O 1.9370 5.9276 0.6770
O 2.0736 0.6716 3.1175
O 1.5591 8.4800 8.6692
O 3.1129 2.1287 0.4997
O 2.5985 7.0229 6.0513
O 2.9340 3.4786 3.1562
O 2.4195 5.6730 8.7079
O 2.8287 2.1235 8.7943
O 3.3431 7.0280 3.2426
O 3.3092 0.6584 6.0219
O 3.8237 8.4932 0.4702
O 4.0786 3.6070 6.2638
O 4.5931 5.5445 0.7121
O 5.0424 1.3942 2.7758
O 4.5279 7.7573 8.3275
O 4.9772 3.6070 10.3912
O 5.4916 5.5445 4.8395
O 5.7466 0.6584 10.6331
O 6.2611 8.4932 5.0814
O 6.2271 2.1235 7.8607
O 6.7416 7.0280 2.3090
O 7.1508 3.4786 2.3954
O 6.6363 5.6730 7.9471
O 6.9718 2.1287 5.0520
O 6.4573 7.0229 10.6037
O 8.0112 0.6716 2.4342
O 7.4967 8.4800 7.9858
O 7.6333 3.2240 10.4263
O 8.1477 5.9276 4.8746
O 9.1449 3.9129 6.7651
O 9.6594 5.2387 1.2134
O 9.9516 2.5138 4.1668
O 9.4371 6.6377 9.7185
O 9.5984 1.1129 9.9100
O 10.1128 8.0387 4.3583
```

Values from the calculation:
Formation enthalpy at 0 K: -22.378 eV/f.u.

Copy entry 2 word for word.
Below is an optimized crystal structure of Ca3Cu2NiP4O16, with properties calculated at the GGA+U level.

extended XYZ file:
```
52
Lattice="9.0168 0.0000 0.0000 0.0000 4.9432 0.0000 -1.1487 0.0000 14.8329" Properties=species:S:1:pos:R:3 pbc="T T T"
Ca 1.8927 0.0000 0.2261
Ca 1.3886 4.7688 11.1118
Ca 2.0375 4.5945 7.1854
Ca 5.8307 2.1229 7.6475
Ca 6.4795 2.2972 3.7211
Ca 5.9754 2.4716 14.6068
Cu 0.2663 2.1472 5.5084
Cu 1.9734 4.7669 3.7171
Cu 5.8947 2.2954 11.1159
Cu 7.6019 4.6188 9.3245
Ni 3.7241 2.4349 1.9024
Ni 4.1440 4.9065 12.9306
P 0.6710 2.2220 2.3227
P 0.4556 2.2028 8.7694
P 2.3280 2.3817 13.4715
P 3.2687 2.3540 5.1046
P 4.5994 4.8255 9.7284
P 5.5401 4.8533 1.3615
P 7.4125 4.6744 6.0635
P 7.1971 4.6936 12.5102
O -0.0607 1.8240 1.0419
O -0.2152 2.0349 3.5757
O -0.1181 0.1840 5.9161
O 0.5404 0.6606 9.0198
O 1.2435 3.6794 2.2100
O 0.9642 2.4540 7.2919
O 1.9541 1.2930 2.4555
O 1.4142 2.9788 9.6604
O 1.3738 1.6194 12.5647
O 1.9696 3.2796 4.9568
O 2.9661 2.1387 0.1047
O 2.7189 0.8918 5.2078
O 2.2928 3.9403 13.2214
O 4.0584 4.3900 1.5022
O 4.1528 2.5506 3.8574
O 3.9851 2.7630 6.3877
O 3.8831 0.2914 8.4452
O 3.7153 0.0790 10.9756
O 3.8097 1.9184 13.3308
O 5.5754 1.4687 1.6116
O 5.1492 3.3634 9.6251
O 4.9020 4.6103 14.7282
O 5.8986 0.8081 9.8761
O 6.4943 4.0910 2.2682
O 6.4540 0.5072 5.1725
O 5.9141 3.7646 12.3774
O 6.9040 4.9256 7.5411
O 6.6247 1.2078 12.6229
O 7.3277 3.1322 5.8132
O 7.9862 2.6556 8.9168
O 8.0834 4.5065 11.2573
O 7.9288 4.2956 13.7910
```

Values from the calculation:
Formation enthalpy at 0 K: -68.692 eV/f.u.